(1)
HgB2C8N8: optimized geometry, PBE-GGA. Values from VASP.

Calculated values
Formation energy = 4.01 eV/f.u.
E (MP2020) = -7.90 eV/atom
Magnetization = 0.0 μB per formula unit

Geometry as Quantum ESPRESSO input:
```
&SYSTEM
  ibrav = 0, nat = 19, ntyp = 4
/
ATOMIC_SPECIES
Hg 200.59 Hg.upf
B 10.81 B.upf
C 12.01 C.upf
N 14.01 N.upf
CELL_PARAMETERS angstrom
7.944 0.000 0.000
-3.972 6.879 0.000
0.000 0.000 6.093
ATOMIC_POSITIONS crystal
Hg 0.000 0.000 0.000
B 0.333 0.667 0.629
B 0.667 0.333 0.371
C 0.225 0.449 0.717
C 0.225 0.775 0.717
C 0.333 0.667 0.369
C 0.449 0.225 0.283
C 0.551 0.775 0.717
C 0.667 0.333 0.631
C 0.775 0.225 0.283
C 0.775 0.551 0.283
N 0.144 0.289 0.777
N 0.144 0.856 0.777
N 0.289 0.144 0.223
N 0.333 0.667 0.178
N 0.667 0.333 0.822
N 0.711 0.856 0.777
N 0.856 0.144 0.223
N 0.856 0.711 0.223
```

=====

(2)
HoB2C2: optimized geometry, PBE-GGA. Values from VASP.

Calculated values
Formation energy = -1.49 eV/f.u.
Magnetization = 0.0 μB per formula unit

Geometry as Quantum ESPRESSO input:
```
&SYSTEM
  ibrav = 0, nat = 10, ntyp = 3
/
ATOMIC_SPECIES
Ho 164.93 Ho.upf
B 10.81 B.upf
C 12.01 C.upf
CELL_PARAMETERS angstrom
3.796 0.000 0.000
0.000 3.796 0.000
0.000 0.000 7.126
ATOMIC_POSITIONS crystal
Ho 0.000 0.000 0.250
Ho 0.000 0.000 0.750
B 0.215 0.500 0.000
B 0.500 0.215 0.500
B 0.500 0.785 0.500
B 0.785 0.500 0.000
C 0.188 0.500 0.500
C 0.500 0.188 0.000
C 0.500 0.812 0.000
C 0.812 0.500 0.500
```

=====

(3)
HoBC: optimized geometry, PBE-GGA. Values from VASP.

Calculated values
Formation energy = -0.12 eV/f.u.
Magnetization = 0.0 μB per formula unit

Geometry as Quantum ESPRESSO input:
```
&SYSTEM
  ibrav = 0, nat = 6, ntyp = 3
/
ATOMIC_SPECIES
Ho 164.93 Ho.upf
B 10.81 B.upf
C 12.01 C.upf
CELL_PARAMETERS angstrom
1.688 -9.377 0.000
1.688 9.377 0.000
0.000 0.000 3.496
ATOMIC_POSITIONS crystal
Ho 0.154 0.846 0.000
Ho 0.846 0.154 0.000
B 0.277 0.723 0.500
B 0.723 0.277 0.500
C 0.356 0.644 0.500
C 0.644 0.356 0.500
```